The following is a DFT calculation (GGA-PBE) of a relaxed EuCdAu2 crystal.

- crystal system = cubic
- mass density (g/cm³) = 11.8
- volume (Å³/f.u.) = 92

a b c (Å): 5.0719 5.0719 5.0719
angles (deg): 60.00 60.00 60.00
Last column: nearest neighbours and their distance in Å.
Fractional positions:
1 Eu 0.5000 0.5000 0.5000  8 Au 3.11
2 Au 0.2500 0.2500 0.2500  4 Eu 3.11, 4 Cd 3.11
3 Au 0.7500 0.7500 0.7500  4 Cd 3.11, 4 Eu 3.11
4 Cd 0.0000 0.0000 0.0000  8 Au 3.11

=====

The following is a DFT calculation (GGA-PBE) of a relaxed Cs2ScInI6 crystal.

- crystal system = cubic
- mass density (g/cm³) = 4.0
- volume (Å³/f.u.) = 489

a b c (Å): 8.8405 8.8405 8.8405
angles (deg): 60.00 60.00 60.00
Last column: nearest neighbours and their distance in Å.
Fractional positions:
1 Sc 0.0000 0.0000 0.0000  6 I 2.90
2 I 0.2323 0.7677 0.2323  1 Sc 2.90
3 I 0.7677 0.2323 0.7677  1 Sc 2.90
4 I 0.7677 0.2323 0.2323  1 Sc 2.90
5 I 0.7677 0.7677 0.2323  1 Sc 2.90
6 I 0.2323 0.7677 0.7677  1 Sc 2.90
7 I 0.2323 0.2323 0.7677  1 Sc 2.90
8 In 0.5000 0.5000 0.5000  6 I 3.35
9 Cs 0.7500 0.7500 0.7500  12 I 4.43
10 Cs 0.2500 0.2500 0.2500  12 I 4.43

=====

The following is a DFT calculation (GGA-PBE) of a relaxed Ba5Sc6O14 crystal.

- crystal system = orthorhombic
- mass density (g/cm³) = 4.1
- volume (Å³/f.u.) = 477

a b c (Å): 8.9922 8.9922 11.7970
angles (deg): 90.00 90.00 92.25
Last column: nearest neighbours and their distance in Å.
Fractional positions:
1 O 0.8572 0.8572 0.8949  2 Sc 2.01-2.02
2 O 0.6308 0.6308 0.5670  2 Sc 1.98
3 O 0.9347 0.1903 0.8898  2 Sc 2.00-2.03
4 O 0.1903 0.9347 0.8898  2 Sc 2.00-2.03
5 O 0.5095 0.1957 0.8422  1 Sc 1.97
6 O 0.5087 0.7614 0.8707  2 Sc 2.00
7 O 0.4405 0.0063 0.0724  2 Sc 2.01-2.03
8 O 0.9905 0.9905 0.1330  1 Sc 1.96
9 O 0.1428 0.1428 0.3949  2 Sc 2.01-2.02
10 O 0.4913 0.2386 0.3707  2 Sc 2.00
11 O 0.4905 0.8043 0.3422  1 Sc 1.97
12 O 0.6968 0.6968 0.1046  1 Sc 1.95
13 O 0.7483 0.3012 0.5812  2 Sc 2.00-2.04
14 O 0.8043 0.4905 0.3422  1 Sc 1.97
15 O 0.1957 0.5095 0.8422  1 Sc 1.97
16 O 0.7614 0.5087 0.8707  2 Sc 2.00
17 O 0.3012 0.7483 0.5812  2 Sc 2.00-2.04
18 O 0.0653 0.8097 0.3898  2 Sc 2.00-2.03
19 O 0.0063 0.4405 0.0724  2 Sc 2.01-2.03
20 O 0.0095 0.0095 0.6330  1 Sc 1.96
21 O 0.8097 0.0653 0.3898  2 Sc 2.00-2.03
22 O 0.9937 0.5595 0.5724  2 Sc 2.01-2.03
23 O 0.3692 0.3692 0.0670  2 Sc 1.98
24 O 0.2517 0.6988 0.0812  2 Sc 2.00-2.04
25 O 0.5595 0.9937 0.5724  2 Sc 2.01-2.03
26 O 0.3032 0.3032 0.6046  1 Sc 1.95
27 O 0.2386 0.4913 0.3707  2 Sc 2.00
28 O 0.6988 0.2517 0.0812  2 Sc 2.00-2.04
29 Sc 0.7010 0.7010 0.9389  4 O 1.95-2.02
30 Sc 0.7891 0.5045 0.5081  4 O 1.97-2.04
31 Sc 0.2109 0.4955 0.0081  4 O 1.97-2.04
32 Sc 0.4955 0.2109 0.0081  4 O 1.97-2.04
33 Sc 0.9964 0.9964 0.4672  4 O 1.96-2.03
34 Sc 0.1587 0.6444 0.4744  4 O 2.00-2.01
35 Sc 0.0036 0.0036 0.9672  4 O 1.96-2.03
36 Sc 0.5045 0.7891 0.5081  4 O 1.97-2.04
37 Sc 0.8413 0.3555 0.9744  4 O 2.00-2.01
38 Sc 0.3555 0.8413 0.9744  4 O 2.00-2.01
39 Sc 0.2990 0.2990 0.4389  4 O 1.95-2.02
40 Sc 0.6444 0.1587 0.4744  4 O 2.00-2.01
41 Ba 0.5212 0.5212 0.2390  6 O 2.70-2.98
42 Ba 0.0389 0.3202 0.6979  5 O 2.63-2.90
43 Ba 0.7297 0.0461 0.7531  5 O 2.65-2.92
44 Ba 0.4788 0.4788 0.7390  6 O 2.70-2.98
45 Ba 0.9611 0.6798 0.1979  5 O 2.63-2.90
46 Ba 0.6798 0.9611 0.1979  5 O 2.63-2.90
47 Ba 0.9539 0.2703 0.2531  5 O 2.65-2.92
48 Ba 0.0461 0.7297 0.7531  5 O 2.65-2.92
49 Ba 0.2703 0.9539 0.2531  5 O 2.65-2.92
50 Ba 0.3202 0.0389 0.6979  5 O 2.63-2.90

=====

The following is a DFT calculation (GGA-PBE) of a relaxed MgSi2 crystal.

- crystal system = triclinic
- mass density (g/cm³) = 2.5
- volume (Å³/f.u.) = 53

a b c (Å): 6.0520 7.1962 9.8958
angles (deg): 91.81 99.76 90.07
Last column: nearest neighbours and their distance in Å.
Fractional positions:
1 Si 0.8188 0.9960 0.0878  3 Si 2.41-2.57
2 Si 0.0931 0.1652 0.6464  2 Si 2.40
3 Si 0.3251 0.3134 0.1385  3 Si 2.39-2.62
4 Si 0.9799 0.4828 0.6186  4 Si 2.39-2.56
5 Si 0.5877 0.5020 0.6257  4 Si 2.39-2.62
6 Si 0.1812 0.0040 0.9122  3 Si 2.41-2.57
7 Si 0.0201 0.5172 0.3814  4 Si 2.39-2.56
8 Si 0.5142 0.8238 0.3658  3 Si 2.40-2.51
9 Si 0.9069 0.8348 0.3536  2 Si 2.40
10 Si 0.5534 0.0099 0.8563  4 Si 2.41-2.57
11 Si 0.0625 0.6848 0.8387  3 Si 2.39-2.56
12 Si 0.4466 0.9901 0.1437  4 Si 2.41-2.57
13 Si 0.4123 0.4980 0.3743  4 Si 2.39-2.62
14 Si 0.9375 0.3152 0.1613  3 Si 2.39-2.56
15 Si 0.6749 0.6866 0.8615  3 Si 2.39-2.62
16 Si 0.4858 0.1762 0.6342  3 Si 2.40-2.51
17 Mg 0.2122 0.1184 0.3695  8 Si 2.73-2.98
18 Mg 0.1242 0.6965 0.1211  7 Si 2.75-3.07, 1 Mg 3.07
19 Mg 0.6334 0.6047 0.1331  7 Si 2.77-3.05, 1 Mg 3.07
20 Mg 0.7249 0.2065 0.4002  8 Si 2.82-3.10, 2 Mg 3.08-3.13
21 Mg 0.2751 0.7935 0.5998  8 Si 2.82-3.10, 2 Mg 3.08-3.13
22 Mg 0.7878 0.8816 0.6305  8 Si 2.73-2.98
23 Mg 0.8758 0.3035 0.8789  7 Si 2.75-3.07, 1 Mg 3.07
24 Mg 0.3666 0.3953 0.8669  7 Si 2.77-3.05, 1 Mg 3.07

=====

Looking at formation enthalpy at 0 K for the records above, in order, we have -223 -1396 -8438 48 kJ/mol of formula units.